(1)
Material: Li5V3P8O29
Method: DFT, GGA+U
State: relaxed

space-group type	P1
calculated volume	13.08	Å³/atom
energy above the most stable polymorph in this dataset	5.9	meV per atom
DFT total energy	-7.028	eV/atom

abc: 9.7995 9.8054 14.1431
angles: 90.10 90.15 119.97
Last column: nearest neighbours and their distance in Å.
Element x y z (fractional)
Li 0.0000 0.0000 0.0000  4 O 1.95-2.11
Li 0.0083 0.4376 0.4563  1 O 1.88
Li 0.4283 0.8600 0.0012  4 O 1.97-2.16
Li 0.4395 0.4525 0.5020  3 O 1.86-2.02
Li 0.5665 0.4295 0.0005  4 O 1.97-2.11
Li 0.5837 0.9832 0.5076  3 O 1.86-2.04
Li 0.6420 0.7215 0.0620  2 O 2.00-2.06
Li 0.7502 0.5419 0.6257  3 O 1.97-2.05
Li 0.7582 0.0928 0.1206  4 O 2.00-2.23
Li 0.9858 0.8582 0.5063  3 O 1.86-2.04
V 0.1014 0.2000 0.8114  6 O 1.86-2.01
V 0.1013 0.7636 0.3072  6 O 1.88-2.07
V 0.2313 0.3330 0.3085  6 O 1.83-1.96
V 0.2315 0.7659 0.8126  6 O 1.83-1.96
V 0.6631 0.3317 0.8136  6 O 1.87-1.98
V 0.6659 0.2004 0.3140  6 O 1.88-2.01
P 0.3305 0.0980 0.4310  4 O 1.48-1.59
P 0.3314 0.0967 0.9346  4 O 1.50-1.60
P 0.3505 0.6763 0.3984  4 O 1.48-1.61
P 0.3590 0.5421 0.9001  4 O 1.50-1.62
P 0.4318 0.4444 0.7176  4 O 1.48-1.61
P 0.4390 0.8508 0.2155  4 O 1.50-1.62
P 0.5747 0.9952 0.7232  4 O 1.48-1.61
P 0.5795 0.4514 0.2212  4 O 1.50-1.61
P 0.7550 0.0828 0.9033  4 O 1.52-1.62
P 0.7590 0.5386 0.4034  4 O 1.50-1.62
P 0.8897 0.6824 0.9030  4 O 1.50-1.62
P 0.8945 0.0824 0.4035  4 O 1.48-1.62
P 0.9762 0.9927 0.2198  4 O 1.51-1.60
P 0.9840 0.8544 0.7206  4 O 1.50-1.61
P 0.9958 0.4326 0.6948  4 O 1.50-1.60
P 0.9972 0.4291 0.1926  4 O 1.48-1.61
O 0.9999 0.2896 0.7378  1 P 1.55
O 0.0020 0.4230 0.0883  1 P 1.48
O 0.0030 0.8540 0.2264  1 P 1.51
O 0.0051 0.4426 0.5891  1 P 1.50
O 0.0060 0.0193 0.7245  1 P 1.52
O 0.0431 0.2492 0.3883  1 P 1.57
O 0.0494 0.6870 0.8939  1 P 1.55
O 0.1347 0.1505 0.2381  1 P 1.57
O 0.1404 0.5847 0.7420  1 P 1.60
O 0.1447 0.8627 0.7424  1 P 1.57
O 0.1477 0.4326 0.2404  1 P 1.61
O 0.1761 0.0847 0.8953  1 P 1.57
O 0.1822 0.6534 0.3874  1 P 1.56
O 0.1871 0.9452 0.3885  1 P 1.57
O 0.2065 0.3831 0.8965  1 P 1.53
O 0.2848 0.8550 0.2290  1 P 1.54
O 0.2869 0.2820 0.7416  1 P 1.55
O 0.3244 0.6816 0.9017  1 P 1.57
O 0.3258 0.2446 0.3882  1 P 1.58
O 0.3279 0.5058 0.4009  1 P 1.57
O 0.3304 0.1012 0.5359  1 P 1.48
O 0.3348 0.0907 0.0401  1 P 1.50
O 0.3407 0.9503 0.8923  1 P 1.60
O 0.4063 0.8490 0.7338  1 P 1.56
O 0.4076 0.4207 0.2337  1 P 1.57
O 0.4210 0.5084 0.6247  1 P 1.48
O 0.4411 0.7721 0.4810  1 P 1.48
O 0.4478 0.7480 0.3021  2 P 1.61-1.62
O 0.4489 0.5642 0.8007  2 P 1.61-1.62
O 0.4517 0.7798 0.1243  1 P 1.50
O 0.4716 0.5626 0.9785  1 P 1.50
O 0.4756 0.2525 0.8958  1 P 1.57
O 0.4849 0.1054 0.3901  1 P 1.59
O 0.5643 0.1457 0.7425  1 P 1.55
O 0.5813 0.2967 0.2303  1 P 1.53
O 0.5844 0.0175 0.2274  1 P 1.55
O 0.5835 0.4315 0.7259  1 P 1.56
O 0.6449 0.5383 0.1307  1 P 1.50
O 0.6498 0.9984 0.6321  1 P 1.48
O 0.6637 0.5175 0.4910  1 P 1.50
O 0.6679 0.9937 0.9911  1 P 1.52
O 0.6688 0.9758 0.8112  2 P 1.61-1.62
O 0.6702 0.5584 0.3122  2 P 1.61-1.62
O 0.7501 0.1064 0.4081  1 P 1.55
O 0.7514 0.5095 0.9030  1 P 1.55
O 0.7595 0.2401 0.8913  1 P 1.53
O 0.7840 0.3953 0.3866  1 P 1.56
O 0.8461 0.4366 0.7292  1 P 1.57
O 0.8508 0.2766 0.2338  1 P 1.58
O 0.8662 0.9839 0.3060  2 P 1.60-1.62
O 0.8669 0.7534 0.8046  2 P 1.61-1.62
O 0.8748 0.7728 0.9839  1 P 1.50
O 0.8997 0.0004 0.1288  1 P 1.51
O 0.9080 0.9944 0.4844  1 P 1.48
O 0.9145 0.7657 0.6299  1 P 1.50
O 0.9217 0.6882 0.4050  1 P 1.54
O 0.9227 0.1047 0.9016  1 P 1.55
O 0.9963 0.5761 0.2363  1 P 1.57

(2)
Material: Li5V3P8O29
Method: DFT, GGA+U
State: relaxed

space-group type	P1
calculated volume	12.90	Å³/atom
energy above the most stable polymorph in this dataset	4.7	meV per atom
DFT total energy	-7.029	eV/atom

abc: 9.7691 9.7819 14.0001
angles: 89.76 89.91 60.22
Last column: nearest neighbours and their distance in Å.
Element x y z (fractional)
Li 0.0000 0.0000 0.0000  4 O 1.97-2.20
Li 0.0040 0.4204 0.4949  4 O 1.98-2.17
Li 0.0872 0.2373 0.8780  3 O 1.97-2.08
Li 0.4308 0.5603 0.4943  3 O 1.95-2.13
Li 0.4422 0.4244 0.9975  3 O 1.87-2.05
Li 0.6662 0.6633 0.3755  4 O 2.01-2.11
Li 0.6748 0.1050 0.8783  3 O 1.97-2.05
Li 0.7846 0.2885 0.4281  2 O 2.00-2.16
Li 0.8543 0.5544 0.9971  3 O 1.91-1.99
Li 0.8675 0.9904 0.4946  4 O 1.94-2.12
V 0.2016 0.3289 0.6824  6 O 1.90-1.97
V 0.2051 0.8966 0.1905  6 O 1.81-1.99
V 0.3356 0.7601 0.6888  6 O 1.84-1.95
V 0.3366 0.3269 0.1909  6 O 1.89-2.01
V 0.7680 0.7602 0.1846  6 O 1.87-1.99
V 0.7676 0.8955 0.6876  6 O 1.85-2.01
P 0.0011 0.0090 0.7815  4 O 1.50-1.60
P 0.0777 0.1010 0.5953  4 O 1.50-1.63
P 0.0861 0.2409 0.0971  4 O 1.50-1.61
P 0.1017 0.6640 0.5646  4 O 1.50-1.59
P 0.1029 0.6625 0.0664  4 O 1.49-1.59
P 0.4309 0.9978 0.8069  4 O 1.48-1.61
P 0.4388 0.9910 0.3091  4 O 1.48-1.62
P 0.4476 0.4157 0.7793  4 O 1.50-1.61
P 0.4537 0.5566 0.2787  4 O 1.51-1.59
P 0.5369 0.6435 0.0932  4 O 1.47-1.64
P 0.5447 0.2431 0.5954  4 O 1.50-1.62
P 0.6787 0.0980 0.0963  4 O 1.50-1.61
P 0.6795 0.6430 0.5959  4 O 1.51-1.61
P 0.8570 0.0127 0.2783  4 O 1.50-1.62
P 0.8568 0.5582 0.7789  4 O 1.48-1.62
P 0.9926 0.4156 0.2804  4 O 1.50-1.63
O 0.0075 0.3283 0.0068  1 P 1.50
O 0.0179 0.0796 0.8727  1 P 1.50
O 0.0239 0.4101 0.7733  1 P 1.56
O 0.0271 0.9857 0.2670  1 P 1.56
O 0.0892 0.5185 0.6030  1 P 1.58
O 0.0983 0.6708 0.9598  1 P 1.49
O 0.0987 0.8142 0.1096  1 P 1.59
O 0.1069 0.0730 0.0967  1 P 1.55
O 0.1072 0.2428 0.5937  1 P 1.55
O 0.1133 0.6616 0.4581  1 P 1.50
O 0.1466 0.4183 0.2687  1 P 1.53
O 0.1491 0.8477 0.7598  1 P 1.55
O 0.2330 0.9435 0.6071  1 P 1.54
O 0.2448 0.2336 0.1153  1 P 1.54
O 0.2545 0.5139 0.1056  1 P 1.57
O 0.2571 0.6527 0.6091  1 P 1.59
O 0.2802 0.1444 0.7656  1 P 1.57
O 0.2863 0.9948 0.2604  1 P 1.62, 1 V 1.81
O 0.2882 0.4265 0.7591  1 P 1.53
O 0.2953 0.7116 0.2651  1 P 1.55
O 0.3860 0.8032 0.1134  1 P 1.55
O 0.3871 0.2433 0.6045  1 P 1.54
O 0.4259 0.4153 0.2733  1 P 1.54
O 0.4273 0.5833 0.7712  1 P 1.55
O 0.4266 0.9909 0.9128  1 P 1.48
O 0.4283 0.9837 0.4146  1 P 1.48
O 0.4303 0.8505 0.7569  1 P 1.61
O 0.4432 0.1342 0.2651  1 P 1.55
O 0.5101 0.6650 0.5979  1 P 1.56
O 0.5134 0.2454 0.0951  1 P 1.54
O 0.5212 0.3324 0.8711  1 P 1.50
O 0.5263 0.5580 0.0097  1 P 1.47
O 0.5374 0.5553 0.3696  1 P 1.51
O 0.5588 0.3338 0.5133  1 P 1.50
O 0.5644 0.5394 0.1905  2 P 1.59-1.64
O 0.5662 0.3170 0.6941  2 P 1.61-1.62
O 0.5812 0.0008 0.7691  1 P 1.57
O 0.5815 0.8358 0.2697  1 P 1.57
O 0.6675 0.9481 0.1148  1 P 1.55
O 0.6743 0.8004 0.6082  1 P 1.53
O 0.6835 0.6657 0.0928  1 P 1.55
O 0.6851 0.0712 0.5975  1 P 1.56
O 0.7641 0.5540 0.5068  1 P 1.51
O 0.7651 0.1227 0.1873  2 P 1.61-1.62
O 0.7652 0.5364 0.6889  2 P 1.61-1.62
O 0.7706 0.0827 0.0068  1 P 1.50
O 0.7769 0.5689 0.8705  1 P 1.48
O 0.7872 0.1018 0.3689  1 P 1.50
O 0.8477 0.5852 0.2724  1 P 1.56
O 0.8512 0.9935 0.7800  1 P 1.55
O 0.8551 0.8587 0.2681  1 P 1.52
O 0.8668 0.7094 0.7562  1 P 1.56
O 0.9546 0.6555 0.1061  1 P 1.58
O 0.9572 0.8182 0.6029  1 P 1.56
O 0.9729 0.1113 0.5143  1 P 1.50
O 0.9744 0.3263 0.1877  2 P 1.61-1.63
O 0.9752 0.3420 0.3704  1 P 1.50
O 0.9814 0.1246 0.6946  2 P 1.60-1.63

(3)
Material: Li5V3P8O29
Method: DFT, GGA+U
State: relaxed

space-group type	P1
calculated volume	12.97	Å³/atom
energy above the most stable polymorph in this dataset	0.4	meV per atom
DFT total energy	-7.033	eV/atom

abc: 9.7898 9.7990 14.0380
angles: 89.86 89.76 60.06
Last column: nearest neighbours and their distance in Å.
Element x y z (fractional)
Li 0.0000 0.0000 0.0000  3 O 1.96-2.04
Li 0.0052 0.5707 0.4948  2 O 1.92-2.05
Li 0.0882 0.6787 0.8791  3 O 1.97-2.05
Li 0.0992 0.8123 0.3782  4 O 1.98-2.16
Li 0.4412 0.9997 0.4968  4 O 1.96-2.17
Li 0.4481 0.1319 0.0042  4 O 1.99-2.16
Li 0.5448 0.8097 0.8806  3 O 1.96-2.06
Li 0.6767 0.2273 0.8791  3 O 1.97-2.07
Li 0.7386 0.9550 0.4328  2 O 1.94-2.01
Li 0.8666 0.5771 0.0024  3 O 1.98-2.03
V 0.2045 0.4697 0.6895  6 O 1.88-2.02
V 0.2046 0.9049 0.1889  6 O 1.89-2.01
V 0.3388 0.9035 0.6882  6 O 1.88-2.01
V 0.3420 0.3362 0.1906  6 O 1.85-2.01
V 0.7674 0.4709 0.1987  6 O 1.82-2.03
V 0.7742 0.3358 0.6803  6 O 1.82-2.02
P 0.9996 0.5897 0.2793  4 O 1.51-1.62
P 0.0004 0.9938 0.7782  4 O 1.51-1.61
P 0.0876 0.8153 0.5958  4 O 1.49-1.63
P 0.0917 0.6720 0.0966  4 O 1.51-1.62
P 0.1014 0.2405 0.0699  4 O 1.50-1.59
P 0.1065 0.2389 0.5665  4 O 1.49-1.62
P 0.4334 0.5715 0.3104  4 O 1.49-1.62
P 0.4416 0.5679 0.8077  4 O 1.49-1.59
P 0.4504 0.1364 0.7840  4 O 1.50-1.60
P 0.4566 0.9914 0.2811  4 O 1.50-1.62
P 0.5431 0.8122 0.0997  4 O 1.51-1.61
P 0.5465 0.2121 0.5997  4 O 1.50-1.63
P 0.6861 0.2236 0.0963  4 O 1.51-1.61
P 0.6883 0.6803 0.5988  4 O 1.49-1.62
P 0.8538 0.1258 0.2819  4 O 1.48-1.62
P 0.8569 0.5830 0.7839  4 O 1.50-1.61
O 0.0031 0.8883 0.5051  1 P 1.49
O 0.0108 0.9069 0.8689  1 P 1.51
O 0.0127 0.6611 0.0072  1 P 1.51
O 0.0216 0.5680 0.7817  1 P 1.55
O 0.0271 0.9889 0.2777  1 P 1.55
O 0.0884 0.2487 0.9635  1 P 1.50
O 0.0934 0.3933 0.6073  1 P 1.56
O 0.0956 0.2434 0.4608  1 P 1.49
O 0.0981 0.0902 0.1084  1 P 1.58
O 0.1097 0.8201 0.0958  1 P 1.55
O 0.1127 0.6452 0.6042  1 P 1.56
O 0.1511 0.0034 0.7601  1 P 1.54
O 0.1516 0.4341 0.2681  1 P 1.52
O 0.2438 0.8128 0.6104  1 P 1.53
O 0.2493 0.5220 0.1148  1 P 1.53
O 0.2562 0.2333 0.1053  1 P 1.56
O 0.2595 0.0933 0.6055  1 P 1.56
O 0.2810 0.7179 0.2702  1 P 1.57
O 0.2871 0.5745 0.7699  1 P 1.58
O 0.2904 0.2847 0.7624  1 P 1.54
O 0.3016 0.9905 0.2696  1 P 1.53
O 0.3905 0.3659 0.6073  1 P 1.52
O 0.3929 0.8025 0.1170  1 P 1.54
O 0.4270 0.1609 0.2687  1 P 1.55
O 0.4340 0.9874 0.7816  1 P 1.55
O 0.4388 0.5749 0.4161  1 P 1.49
O 0.4445 0.4227 0.2655  1 P 1.54
O 0.4455 0.7174 0.7690  1 P 1.58
O 0.4492 0.5610 0.9140  1 P 1.49
O 0.5166 0.8201 0.5987  1 P 1.55
O 0.5212 0.2401 0.0967  1 P 1.54
O 0.5218 0.1510 0.8754  1 P 1.50
O 0.5327 0.9010 0.0096  1 P 1.51
O 0.5437 0.9212 0.3719  1 P 1.50
O 0.5644 0.1048 0.5192  1 P 1.50
O 0.5667 0.8992 0.1900  2 P 1.61-1.62
O 0.5681 0.1150 0.6981  2 P 1.60-1.63
O 0.5827 0.5770 0.2640  1 P 1.62, 1 V 1.82
O 0.5882 0.4180 0.7622  1 P 1.59
O 0.6772 0.3820 0.1182  1 P 1.54
O 0.6871 0.2449 0.6033  1 P 1.56
O 0.6870 0.5218 0.6094  1 P 1.57
O 0.6911 0.6457 0.1004  1 P 1.55
O 0.7594 0.7017 0.6981  2 P 1.61-1.62
O 0.7685 0.1109 0.3645  1 P 1.48
O 0.7708 0.6547 0.8755  1 P 1.50
O 0.7736 0.1510 0.0050  1 P 1.51
O 0.7798 0.1070 0.1829  2 P 1.61-1.62
O 0.7820 0.6861 0.5171  1 P 1.49
O 0.8505 0.2869 0.2714  1 P 1.57
O 0.8518 0.1601 0.7772  1 P 1.55
O 0.8547 0.5647 0.2747  1 P 1.56
O 0.8656 0.4251 0.7606  1 P 1.54
O 0.9550 0.3888 0.1172  1 P 1.59
O 0.9594 0.2325 0.6143  1 P 1.62
O 0.9784 0.6980 0.1871  2 P 1.62
O 0.9784 0.9049 0.6881  2 P 1.61-1.63
O 0.9924 0.6805 0.3678  1 P 1.51

(4)
Material: LiVP2O7
Method: DFT, GGA+U
State: relaxed

space-group type	P2_1
calculated volume	12.40	Å³/atom
DFT total energy	-7.227	eV/atom

abc: 4.8987 8.3196 7.0473
angles: 90.00 108.29 90.00
Last column: nearest neighbours and their distance in Å.
Element x y z (fractional)
Li 0.1731 0.0000 0.1673  4 O 2.00-2.06
Li 0.8269 0.5000 0.8327  4 O 2.00-2.06
V 0.2122 0.3576 0.2276  6 O 1.99-2.09
V 0.7878 0.8576 0.7724  6 O 1.99-2.09
P 0.2214 0.0718 0.5862  4 O 1.52-1.63
P 0.3994 0.6780 0.0254  4 O 1.53-1.61
P 0.6006 0.1780 0.9746  4 O 1.53-1.61
P 0.7786 0.5718 0.4138  4 O 1.52-1.63
O 0.0373 0.5303 0.3474  1 P 1.52
O 0.1382 0.1575 0.3849  1 P 1.52
O 0.1857 0.8185 0.9846  1 P 1.54
O 0.2480 0.5151 0.0078  1 P 1.53
O 0.3959 0.1820 0.1009  1 P 1.54
O 0.4092 0.9241 0.5849  1 P 1.54
O 0.4103 0.2041 0.7442  2 P 1.61-1.63
O 0.5897 0.7041 0.2558  2 P 1.61-1.63
O 0.5908 0.4241 0.4151  1 P 1.54
O 0.6041 0.6820 0.8991  1 P 1.54
O 0.7520 0.0151 0.9922  1 P 1.53
O 0.8143 0.3185 0.0154  1 P 1.54
O 0.8618 0.6575 0.6151  1 P 1.52
O 0.9627 0.0303 0.6526  1 P 1.52

(5)
Material: Li5V3P8O29
Method: DFT, GGA+U
State: relaxed

space-group type	P1
calculated volume	13.01	Å³/atom
energy above the most stable polymorph in this dataset	6.0	meV per atom
DFT total energy	-7.027	eV/atom

abc: 9.8161 9.8353 13.9950
angles: 90.15 90.00 119.93
Last column: nearest neighbours and their distance in Å.
Element x y z (fractional)
Li 0.0000 0.0000 0.0000  3 O 1.96-2.01
Li 0.0003 0.4514 0.4951  3 O 1.99-2.08
Li 0.1810 0.5480 0.8790  3 O 1.89-2.08
Li 0.3199 0.0831 0.8785  3 O 1.89-2.03
Li 0.3235 0.6784 0.3743  3 O 1.95-2.10
Li 0.4118 0.0016 0.4954  3 O 1.90-2.09
Li 0.4262 0.4358 0.0544  2 O 1.91-2.13
Li 0.7716 0.5448 0.3740  3 O 1.95-2.01
Li 0.7786 0.6804 0.8791  3 O 1.88-2.11
Li 0.8710 0.8682 0.4929  2 O 1.89-1.96
V 0.0934 0.3389 0.6856  6 O 1.86-2.01
V 0.0993 0.2080 0.1929  6 O 1.85-2.02
V 0.5273 0.2067 0.6895  6 O 1.86-2.00
V 0.5283 0.7803 0.1831  6 O 1.81-1.99
V 0.6616 0.3375 0.1833  6 O 1.88-2.04
V 0.6619 0.7752 0.6873  6 O 1.85-1.97
P 0.0061 0.4539 0.2781  4 O 1.51-1.62
P 0.0068 0.0062 0.7796  4 O 1.50-1.61
P 0.1808 0.0896 0.5962  4 O 1.48-1.63
P 0.1839 0.5413 0.0951  4 O 1.48-1.61
P 0.3221 0.0900 0.0940  4 O 1.49-1.62
P 0.3266 0.6857 0.5945  4 O 1.50-1.60
P 0.4103 0.8588 0.7791  4 O 1.48-1.63
P 0.4134 0.0059 0.2783  4 O 1.49-1.61
P 0.4276 0.4411 0.8104  4 O 1.50-1.60
P 0.4312 0.4454 0.3094  4 O 1.49-1.59
P 0.7583 0.1054 0.5644  4 O 1.49-1.63
P 0.7669 0.1083 0.0645  4 O 1.48-1.62
P 0.7732 0.5398 0.5944  4 O 1.50-1.61
P 0.7746 0.6819 0.0955  4 O 1.50-1.61
P 0.8641 0.4567 0.7777  4 O 1.48-1.63
P 0.8639 0.8608 0.2783  4 O 1.51-1.62
O 0.0044 0.0246 0.2771  1 P 1.51
O 0.0095 0.4333 0.7747  1 P 1.55
O 0.0884 0.0044 0.5108  1 P 1.48
O 0.0896 0.0104 0.8706  1 P 1.50
O 0.0959 0.5623 0.1863  2 P 1.61-1.62
O 0.0971 0.5324 0.3680  1 P 1.51
O 0.1005 0.9861 0.6916  2 P 1.61-1.63
O 0.1051 0.5381 0.0041  1 P 1.48
O 0.1729 0.1050 0.0969  1 P 1.54
O 0.1795 0.5213 0.5956  1 P 1.54
O 0.1895 0.2503 0.6144  1 P 1.56
O 0.2045 0.3962 0.1094  1 P 1.55
O 0.2823 0.2966 0.2643  1 P 1.59
O 0.2822 0.4474 0.7716  1 P 1.56
O 0.3055 0.9842 0.1862  2 P 1.61-1.62
O 0.3076 0.7781 0.6830  2 P 1.60-1.63
O 0.3287 0.7642 0.8640  1 P 1.48
O 0.3365 0.0034 0.3703  1 P 1.49
O 0.3356 0.0184 0.0034  1 P 1.49
O 0.3424 0.7730 0.5038  1 P 1.50
O 0.3492 0.1127 0.5994  1 P 1.55
O 0.3533 0.6879 0.1038  1 P 1.57
O 0.4225 0.2878 0.7729  1 P 1.57
O 0.4274 0.5929 0.2672  1 P 1.59
O 0.4281 0.4480 0.4158  1 P 1.49
O 0.4310 0.0247 0.7781  1 P 1.54
O 0.4337 0.4446 0.9178  1 P 1.50
O 0.4339 0.8567 0.2723  1 P 1.58
O 0.4660 0.2584 0.1121  1 P 1.57
O 0.4778 0.6760 0.6157  1 P 1.56
O 0.5722 0.1554 0.2626  1 P 1.53
O 0.5724 0.8681 0.7589  1 P 1.57
O 0.5803 0.4438 0.2691  1 P 1.58
O 0.5820 0.5911 0.7696  1 P 1.60
O 0.6062 0.0971 0.6048  1 P 1.56
O 0.6088 0.6662 0.1113  1 P 1.57
O 0.6139 0.3948 0.6133  1 P 1.52
O 0.6179 0.9563 0.1109  1 P 1.62, 1 V 1.81
O 0.7092 0.8629 0.2577  1 P 1.56
O 0.7125 0.2956 0.7599  1 P 1.56
O 0.7517 0.5172 0.0960  1 P 1.52
O 0.7572 0.6904 0.5991  1 P 1.57
O 0.7587 0.0955 0.9588  1 P 1.48
O 0.7587 0.2511 0.1081  1 P 1.57
O 0.7597 0.0972 0.4581  1 P 1.49
O 0.7628 0.9547 0.6082  1 P 1.63
O 0.8401 0.8552 0.7744  1 P 1.57
O 0.8437 0.4418 0.2776  1 P 1.54
O 0.8472 0.7695 0.3679  1 P 1.51
O 0.8493 0.7744 0.0064  1 P 1.50
O 0.8516 0.5337 0.5035  1 P 1.50
O 0.8563 0.5410 0.8633  1 P 1.48
O 0.8828 0.7707 0.1866  2 P 1.61-1.62
O 0.8876 0.5602 0.6823  2 P 1.61-1.63
O 0.9068 0.2582 0.6032  1 P 1.58
O 0.9156 0.1082 0.1054  1 P 1.57
O 0.9915 0.1505 0.7611  1 P 1.52
O 0.9918 0.2931 0.2620  1 P 1.53